Dy2Ga3Cu: relaxed, r2SCAN.

energy of formation from the pure elements = -0.6843 eV/atom
ρ = 8.47 Mg/m³

Lattice parameters (Å, degrees): 4.331 4.331 7.216 90.00 90.00 120.00
Positions (direct):
Dy 0.333 0.667 0.731
Dy 0.333 0.667 0.262
Ga 0.667 0.333 0.478
Ga 0.667 0.333 0.044
Ga 0.000 0.000 0.951
Cu 0.000 0.000 0.533